Entry 1:
Below is a relaxed Li2YTl crystal, with properties calculated at the PBE level.

abc: 6.869 6.869 6.869
angles: 90.00 90.00 90.00
Space group Fm-3m (No. 225)
Asymmetric unit:
Li: 0.250 0.250 0.250 [8 per cell]
Y: 0.000 0.000 0.000 [4 per cell]
Tl: 0.000 0.000 0.500 [4 per cell]

Properties
- calculated density (Mg/m³) = 6.296
- energy of formation (meV per atom) = -251.4
- crystal system = cubic
- total DFT energy (no corrections) (eV per atom) = -3.41

Entry 2:
Below is a relaxed Li3Zn crystal, with properties calculated at the PBE level.

abc: 3.989 3.989 8.357
angles: 90.00 90.00 90.00
Space group I4/mmm (No. 139)
Asymmetric unit:
Li: 0.000 0.000 0.000 [2 per cell]
Li: 0.000 0.500 0.250 [4 per cell]
Zn: 0.000 0.000 0.500 [2 per cell]

Properties
- calculated density (Mg/m³) = 2.153
- energy of formation (meV per atom) = -99.2
- crystal system = tetragonal
- total DFT energy (no corrections) (eV per atom) = -1.85

Entry 3:
Below is a relaxed LiZn crystal, with properties calculated at the PBE level.

abc: 6.175 6.175 6.175
angles: 90.00 90.00 90.00
Space group Fd-3m (No. 227, origin choice 2)
Asymmetric unit:
Li: 0.125 0.125 0.125 [8 per cell]
Zn: 0.125 0.125 0.625 [8 per cell]

Properties
- calculated density (Mg/m³) = 4.083
- energy of formation (meV per atom) = -218.7
- crystal system = cubic
- total DFT energy (no corrections) (eV per atom) = -1.80

Entry 4:
Below is a relaxed LiZn2 crystal, with properties calculated at the PBE level.

abc: 9.493 9.493 9.493
angles: 90.00 90.00 90.00
Space group Fd-3m (No. 227, origin choice 2)
Asymmetric unit:
Li: 0.000 0.000 0.000 [16 per cell]
Zn: 0.027 0.027 0.723 [32 per cell]

Properties
- calculated density (Mg/m³) = 4.279
- energy of formation (meV per atom) = 88.3
- crystal system = cubic
- total DFT energy (no corrections) (eV per atom) = -1.39